No. 1
# LiV2OF5, optimized geometry, DFT PBE with a Hubbard U
# Energy above the lowest structure with this stoichiometry   27 meV per atom
# Total energy after the MP2020 corrections   -185.74 eV per cell
# Calculated total energy   -166.55 eV per cell
# Formation energy from the elements   -3.04 eV per atom
data_LiV2OF5
_cell_length_a 5.169
_cell_length_b 5.226
_cell_length_c 13.827
_cell_angle_alpha 89.57
_cell_angle_beta 89.87
_cell_angle_gamma 60.93
_space_group_name_H-M_alt 'P 1'
_space_group_IT_number 1
loop_
_space_group_symop_operation_xyz
'x,y,z'
loop_
_atom_site_label
_atom_site_fract_x
_atom_site_fract_y
_atom_site_fract_z
Li1 0.000 0.000 0.000
Li2 0.304 0.371 0.342
Li3 0.652 0.707 0.629
V1 0.023 0.021 0.736
V2 0.311 0.367 0.067
V3 0.336 0.334 0.578
V4 0.678 0.687 0.398
V5 0.690 0.680 0.908
V6 0.988 0.004 0.241
O1 0.001 0.633 0.989
O2 0.290 0.066 0.655
O3 0.944 0.736 0.320
F1 0.022 0.695 0.654
F2 0.025 0.396 0.481
F3 0.062 0.288 0.159
F4 0.282 0.693 0.152
F5 0.315 0.004 0.323
F6 0.349 0.731 0.823
F7 0.363 0.006 0.987
F8 0.407 0.611 0.489
F9 0.626 0.990 0.494
F10 0.642 0.366 0.988
F11 0.668 0.337 0.654
F12 0.670 0.077 0.148
F13 0.673 0.360 0.322
F14 0.734 0.969 0.820
F15 0.954 0.350 0.822

---

No. 2
# Li2VO2F, optimized geometry, DFT PBE with a Hubbard U
# Energy above the lowest structure with this stoichiometry   99 meV per atom
# Total energy after the MP2020 corrections   -403.97 eV per cell
# Calculated total energy   -368.61 eV per cell
# Formation energy from the elements   -2.61 eV per atom
data_Li2VO2F
_cell_length_a 26.125
_cell_length_b 3.004
_cell_length_c 7.364
_cell_angle_alpha 90.00
_cell_angle_beta 90.18
_cell_angle_gamma 90.00
_space_group_name_H-M_alt 'C 1 m 1'
_space_group_IT_number 8
loop_
_space_group_symop_operation_xyz
'x,y,z'
'x,-y,z'
'x+1/2,y+1/2,z'
'x+1/2,-y+1/2,z'
loop_
_atom_site_label
_atom_site_fract_x
_atom_site_fract_y
_atom_site_fract_z
Li1 0.000 0.000 0.000
Li2 0.033 0.500 0.720
Li3 0.085 0.500 0.987
Li4 0.117 0.000 0.712
Li5 0.184 0.000 0.015
Li6 0.220 0.500 0.695
Li7 0.285 0.500 0.008
Li8 0.320 0.000 0.703
Li9 0.389 0.000 0.009
Li10 0.433 0.500 0.714
V1 0.058 0.000 0.358
V2 0.157 0.500 0.358
V3 0.255 0.000 0.354
V4 0.351 0.500 0.337
V5 0.458 0.000 0.348
O1 0.023 0.500 0.208
O2 0.057 0.000 0.854
O3 0.090 0.500 0.504
O4 0.125 0.000 0.212
O5 0.192 0.000 0.510
O6 0.224 0.500 0.202
O7 0.291 0.500 0.505
O8 0.322 0.000 0.195
O9 0.419 0.500 0.217
O10 0.486 0.500 0.501
F1 0.161 0.500 0.857
F2 0.257 0.000 0.853
F3 0.355 0.500 0.851
F4 0.387 0.000 0.514
F5 0.451 0.000 0.863

---

No. 3
# LiV2OF7, optimized geometry, DFT PBE with a Hubbard U
# Energy above the lowest structure with this stoichiometry   0 meV per atom
# Total energy after the MP2020 corrections   -141.97 eV per cell
# Calculated total energy   -127.33 eV per cell
# Formation energy from the elements   -2.96 eV per atom
data_LiV2OF7
_cell_length_a 9.596
_cell_length_b 6.052
_cell_length_c 6.587
_cell_angle_alpha 90.00
_cell_angle_beta 133.07
_cell_angle_gamma 90.00
_space_group_name_H-M_alt 'C 1 m 1'
_space_group_IT_number 8
loop_
_space_group_symop_operation_xyz
'x,y,z'
'x,-y,z'
'x+1/2,y+1/2,z'
'x+1/2,-y+1/2,z'
loop_
_atom_site_label
_atom_site_fract_x
_atom_site_fract_y
_atom_site_fract_z
Li1 0.000 0.000 0.000
V1 0.458 0.243 0.456
O1 0.294 0.000 0.296
F1 0.141 0.000 0.635
F2 0.150 0.500 0.644
F3 0.282 0.500 0.285
F4 0.467 0.266 0.190
F5 0.476 0.267 0.749

---

No. 4
# Li2VO2F, optimized geometry, DFT PBE with a Hubbard U
# Energy above the lowest structure with this stoichiometry   103 meV per atom
# Total energy after the MP2020 corrections   -161.49 eV per cell
# Calculated total energy   -147.34 eV per cell
# Formation energy from the elements   -2.61 eV per atom
data_Li2VO2F
_cell_length_a 3.025
_cell_length_b 8.930
_cell_length_c 9.102
_cell_angle_alpha 109.58
_cell_angle_beta 90.24
_cell_angle_gamma 90.03
_space_group_name_H-M_alt 'P 1'
_space_group_IT_number 1
loop_
_space_group_symop_operation_xyz
'x,y,z'
loop_
_atom_site_label
_atom_site_fract_x
_atom_site_fract_y
_atom_site_fract_z
Li1 0.000 0.000 0.000
Li2 0.000 0.003 0.300
Li3 0.500 0.257 0.252
Li4 0.500 0.284 0.575
Li5 0.500 0.746 0.058
Li6 0.502 0.728 0.746
Li7 0.997 0.500 0.523
Li8 0.999 0.505 0.788
V1 0.006 0.002 0.675
V2 0.009 0.502 0.153
V3 0.493 0.257 0.906
V4 0.496 0.739 0.400
O1 0.000 0.257 0.062
O2 0.016 0.749 0.248
O3 0.494 0.007 0.819
O4 0.498 0.506 0.655
O5 0.501 0.496 0.001
O6 0.515 0.506 0.308
O7 0.986 0.237 0.746
O8 0.989 0.773 0.556
F1 0.001 0.236 0.396
F2 0.501 0.002 0.158
F3 0.501 0.003 0.497
F4 0.999 0.764 0.916

---

No. 5
# Li7VO5F, optimized geometry, DFT PBE with a Hubbard U
# Energy above the lowest structure with this stoichiometry   0 meV per atom
# Total energy after the MP2020 corrections   -164.37 eV per cell
# Calculated total energy   -153.17 eV per cell
# Formation energy from the elements   -2.36 eV per atom
data_Li7VO5F
_cell_length_a 5.591
_cell_length_b 5.596
_cell_length_c 10.798
_cell_angle_alpha 89.00
_cell_angle_beta 88.72
_cell_angle_gamma 60.39
_space_group_name_H-M_alt 'P 1'
_space_group_IT_number 1
loop_
_space_group_symop_operation_xyz
'x,y,z'
loop_
_atom_site_label
_atom_site_fract_x
_atom_site_fract_y
_atom_site_fract_z
Li1 0.000 0.000 0.000
Li2 0.009 0.668 0.348
Li3 0.023 0.712 0.718
Li4 0.046 0.315 0.220
Li5 0.266 0.067 0.718
Li6 0.304 0.355 0.019
Li7 0.324 0.334 0.499
Li8 0.358 0.687 0.851
Li9 0.359 0.977 0.360
Li10 0.606 0.418 0.347
Li11 0.645 0.073 0.218
Li12 0.663 0.028 0.849
Li13 0.921 0.372 0.857
Li14 0.968 0.030 0.519
V1 0.636 0.692 0.085
V2 0.662 0.667 0.585
O1 0.011 0.003 0.813
O2 0.330 0.322 0.312
O3 0.337 0.985 0.542
O4 0.352 0.667 0.031
O5 0.642 0.381 0.528
O6 0.648 0.998 0.038
O7 0.655 0.711 0.758
O8 0.680 0.687 0.259
O9 0.957 0.370 0.042
O10 0.966 0.686 0.539
F1 0.289 0.364 0.809
F2 0.969 0.043 0.309

---

No. 6
# Li2VO2F, optimized geometry, DFT PBE with a Hubbard U
# Energy above the lowest structure with this stoichiometry   91 meV per atom
# Total energy after the MP2020 corrections   -161.77 eV per cell
# Calculated total energy   -147.63 eV per cell
# Formation energy from the elements   -2.62 eV per atom
data_Li2VO2F
_cell_length_a 5.197
_cell_length_b 6.030
_cell_length_c 7.359
_cell_angle_alpha 89.98
_cell_angle_beta 89.74
_cell_angle_gamma 89.99
_space_group_name_H-M_alt 'P 1'
_space_group_IT_number 1
loop_
_space_group_symop_operation_xyz
'x,y,z'
loop_
_atom_site_label
_atom_site_fract_x
_atom_site_fract_y
_atom_site_fract_z
Li1 0.000 0.000 0.000
Li2 0.006 0.462 0.001
Li3 0.303 0.461 0.291
Li4 0.323 0.000 0.279
Li5 0.459 0.236 0.000
Li6 0.484 0.726 0.992
Li7 0.815 0.722 0.289
Li8 0.838 0.240 0.278
V1 0.159 0.236 0.650
V2 0.159 0.726 0.650
V3 0.641 0.980 0.648
V4 0.658 0.481 0.644
O1 0.152 0.230 0.146
O2 0.306 0.980 0.795
O3 0.331 0.483 0.797
O4 0.484 0.735 0.495
O5 0.486 0.229 0.498
O6 0.820 0.735 0.787
O7 0.823 0.224 0.787
O8 0.995 0.482 0.497
F1 0.152 0.730 0.146
F2 0.654 0.487 0.143
F3 0.656 0.971 0.143
F4 0.982 0.978 0.482

---

No. 7
# Li2VO2F, optimized geometry, DFT PBE with a Hubbard U
# Energy above the lowest structure with this stoichiometry   124 meV per atom
# Total energy after the MP2020 corrections   -160.99 eV per cell
# Calculated total energy   -146.85 eV per cell
# Formation energy from the elements   -2.59 eV per atom
data_Li2VO2F
_cell_length_a 8.965
_cell_length_b 3.025
_cell_length_c 9.074
_cell_angle_alpha 90.00
_cell_angle_beta 109.46
_cell_angle_gamma 90.00
_space_group_name_H-M_alt 'P 1 m 1'
_space_group_IT_number 6
loop_
_space_group_symop_operation_xyz
'x,y,z'
'x,-y,z'
loop_
_atom_site_label
_atom_site_fract_x
_atom_site_fract_y
_atom_site_fract_z
Li1 0.000 0.000 0.000
Li2 0.005 0.000 0.265
Li3 0.234 0.500 0.238
Li4 0.262 0.500 0.538
Li5 0.512 0.000 0.474
Li6 0.519 0.000 0.795
Li7 0.759 0.500 0.727
Li8 0.791 0.500 0.058
V1 0.008 0.000 0.633
V2 0.258 0.500 0.867
V3 0.521 0.000 0.139
V4 0.764 0.500 0.388
O1 0.003 0.500 0.481
O2 0.015 0.500 0.135
O3 0.023 0.500 0.790
O4 0.258 0.000 0.723
O5 0.492 0.500 0.978
O6 0.519 0.500 0.291
O7 0.753 0.000 0.227
O8 0.765 0.000 0.545
F1 0.266 0.000 0.040
F2 0.274 0.000 0.394
F3 0.511 0.500 0.637
F4 0.751 0.000 0.878